Entry 1
{
  "formula": "TiMn3O8",
  "functional": "PBE+U",
  "state": "optimized geometry",
  "spacegroup": "R-3m (166)",
  "lattice_angstrom": [[5.192, -2.945, 0.000], [5.192, 2.945, 0.000], [3.521, 0.000, 4.820]],
  "species": ["Ti", "Mn", "Mn", "Mn", "O", "O", "O", "O", "O", "O", "O", "O"],
  "frac_coords": [[0.000, 0.000, 0.000], [0.500, 0.500, 0.000], [0.500, 0.000, 0.500], [0.000, 0.500, 0.500], [0.732, 0.732, 0.732], [0.235, 0.235, 0.727], [0.235, 0.727, 0.235], [0.268, 0.268, 0.268], [0.727, 0.235, 0.235], [0.765, 0.765, 0.273], [0.765, 0.273, 0.765], [0.273, 0.765, 0.765]]
}

---

Entry 2
{
  "formula": "TiMn3O8",
  "functional": "PBE+U",
  "state": "optimized geometry",
  "spacegroup": "P4_332 (212)",
  "lattice_angstrom": [[8.276, 0.000, 0.000], [0.000, 8.276, 0.000], [0.000, 0.000, 8.276]],
  "species": ["Ti", "Ti", "Ti", "Ti", "Mn", "Mn", "Mn", "Mn", "Mn", "Mn", "Mn", "Mn", "Mn", "Mn", "Mn", "Mn", "O", "O", "O", "O", "O", "O", "O", "O", "O", "O", "O", "O", "O", "O", "O", "O", "O", "O", "O", "O", "O", "O", "O", "O", "O", "O", "O", "O", "O", "O", "O", "O"],
  "frac_coords": [[0.125, 0.875, 0.375], [0.375, 0.125, 0.875], [0.625, 0.625, 0.625], [0.875, 0.375, 0.125], [0.122, 0.128, 0.625], [0.125, 0.378, 0.872], [0.128, 0.625, 0.122], [0.372, 0.375, 0.622], [0.375, 0.622, 0.372], [0.378, 0.872, 0.125], [0.622, 0.372, 0.375], [0.625, 0.122, 0.128], [0.628, 0.875, 0.878], [0.872, 0.125, 0.378], [0.875, 0.878, 0.628], [0.878, 0.628, 0.875], [0.106, 0.114, 0.391], [0.109, 0.894, 0.614], [0.112, 0.612, 0.888], [0.136, 0.144, 0.859], [0.114, 0.391, 0.106], [0.138, 0.362, 0.638], [0.141, 0.636, 0.356], [0.144, 0.859, 0.136], [0.356, 0.141, 0.636], [0.359, 0.364, 0.856], [0.362, 0.638, 0.138], [0.386, 0.609, 0.606], [0.364, 0.856, 0.359], [0.388, 0.388, 0.388], [0.391, 0.106, 0.114], [0.394, 0.886, 0.891], [0.606, 0.386, 0.609], [0.609, 0.606, 0.386], [0.612, 0.888, 0.112], [0.636, 0.356, 0.141], [0.614, 0.109, 0.894], [0.638, 0.138, 0.362], [0.641, 0.864, 0.644], [0.644, 0.641, 0.864], [0.856, 0.359, 0.364], [0.859, 0.136, 0.144], [0.862, 0.862, 0.862], [0.886, 0.891, 0.394], [0.864, 0.644, 0.641], [0.888, 0.112, 0.612], [0.891, 0.394, 0.886], [0.894, 0.614, 0.109]]
}

---

Relative to the most stable structure, the computed energies are entry 1 0; entry 2 15, all in meV/atom.

---

Entry 1
{
  "formula": "LiNiAsO4",
  "functional": "PBE+U",
  "state": "optimized geometry",
  "lattice_angstrom": [[4.068, -4.068, 0.000], [-4.214, -4.214, 0.000], [0.000, 0.000, -8.209]],
  "species": ["Li", "Li", "Li", "Li", "Ni", "Ni", "Ni", "Ni", "As", "As", "As", "As", "O", "O", "O", "O", "O", "O", "O", "O", "O", "O", "O", "O", "O", "O", "O", "O"],
  "frac_coords": [[0.750, 0.750, 0.250], [0.250, 0.250, 0.750], [0.250, 0.750, 0.250], [0.750, 0.250, 0.750], [0.000, 0.500, 0.500], [0.500, 0.500, 0.000], [0.500, 0.000, 0.000], [0.000, 0.000, 0.500], [0.000, 0.250, 0.131], [0.500, 0.750, 0.631], [0.500, 0.250, 0.369], [0.000, 0.750, 0.869], [0.755, 0.250, 0.004], [0.255, 0.750, 0.504], [0.245, 0.250, 0.004], [0.745, 0.750, 0.504], [0.745, 0.250, 0.496], [0.245, 0.750, 0.996], [0.255, 0.250, 0.496], [0.755, 0.750, 0.996], [0.000, 0.009, 0.247], [0.500, 0.509, 0.747], [0.000, 0.491, 0.247], [0.500, 0.991, 0.747], [0.500, 0.491, 0.253], [0.000, 0.991, 0.753], [0.500, 0.009, 0.253], [0.000, 0.509, 0.753]]
}

---

Entry 2
{
  "formula": "LiNiAsO4",
  "functional": "PBE+U",
  "state": "optimized geometry",
  "spacegroup": "Pnma (62)",
  "lattice_angstrom": [[4.930, 0.000, 0.000], [0.000, 5.984, 0.000], [0.000, 0.000, 10.447]],
  "species": ["Li", "Li", "Li", "Li", "Ni", "Ni", "Ni", "Ni", "As", "As", "As", "As", "O", "O", "O", "O", "O", "O", "O", "O", "O", "O", "O", "O", "O", "O", "O", "O"],
  "frac_coords": [[0.000, 0.000, 0.000], [0.500, 0.000, 0.500], [0.000, 0.500, 0.000], [0.500, 0.500, 0.500], [0.994, 0.250, 0.272], [0.506, 0.250, 0.772], [0.006, 0.750, 0.728], [0.494, 0.750, 0.228], [0.064, 0.250, 0.594], [0.436, 0.250, 0.094], [0.936, 0.750, 0.406], [0.564, 0.750, 0.906], [0.782, 0.250, 0.096], [0.218, 0.750, 0.904], [0.718, 0.250, 0.596], [0.282, 0.750, 0.404], [0.705, 0.750, 0.057], [0.295, 0.250, 0.943], [0.205, 0.250, 0.443], [0.795, 0.750, 0.557], [0.227, 0.472, 0.670], [0.727, 0.528, 0.830], [0.773, 0.972, 0.330], [0.273, 0.028, 0.170], [0.773, 0.528, 0.330], [0.273, 0.472, 0.170], [0.227, 0.028, 0.670], [0.727, 0.972, 0.830]]
}

---

Relative to the most stable structure, the computed energies are entry 1 18; entry 2 0, all in meV/atom.